VASP calculation (meta-GGA r2SCAN) on a geometry-optimized YGeRh structure.

Calculated values
Magnetization = 0.00 μB/cell
ΔE_f = -1.056 eV/atom

a = 6.9224 Å, b = 4.2939 Å, c = 7.5625 Å
α = 90.00°, β = 90.00°, γ = 90.00°
Closest atoms and distances in Å follow each position.
Space group Pnma (No. 62)
One atom of each set of equivalent atoms:
Y  0.0029  0.2500  0.1956  5 Ge 2.99-3.03, 6 Rh 3.00-3.34
Ge  0.2096  0.7500  0.3954  4 Rh 2.54-2.65
Rh  0.1548  0.2500  0.5674  4 Ge 2.54-2.65

VASP calculation (meta-GGA r2SCAN) on a geometry-optimized TbMgTl structure.

Calculated values
Magnetization = 0.00 μB/cell
ΔE_f = -0.446 eV/atom

a = 7.5288 Å, b = 7.5288 Å, c = 4.6399 Å
α = 90.00°, β = 90.00°, γ = 120.00°
Closest atoms and distances in Å follow each position.
Space group P-62m (No. 189)
One atom of each set of equivalent atoms:
Tb  0.0000  0.5710  0.0000  5 Tl 3.22-3.23, 2 Mg 3.39
Mg  0.0000  0.2428  0.5000  4 Tl 2.91-2.95, 2 Mg 3.17
Tl  0.0000  0.0000  0.0000  6 Mg 2.95, 3 Tb 3.23
Tl  0.3333  0.6667  0.5000  3 Mg 2.91, 6 Tb 3.22

VASP calculation (meta-GGA r2SCAN) on a geometry-optimized AsS structure.

Calculated values
Magnetization = 0.00 μB/cell
ΔE_f = -0.156 eV/atom
Polymorph energy (0 for the lowest one) = 0.003 eV per atom

a = 10.2857 Å, b = 9.4341 Å, c = 9.2205 Å
α = 90.00°, β = 102.64°, γ = 90.00°
Closest atoms and distances in Å follow each position.
Space group C2/c (No. 15)
One atom of each set of equivalent atoms:
As  0.0049  0.2066  0.4396  2 S 2.23-2.24
As  0.1583  0.4030  0.3660  2 S 2.23-2.24
S  0.0000  0.0576  0.2500  2 As 2.23
S  0.0000  0.4474  0.7500  2 As 2.24
S  0.1929  0.3055  0.1573  2 As 2.23-2.24